The following is a PBE+U calculation of a relaxed structure of Li32Ti3Cr13O48, from the Materials Project.

As for the MP2020-corrected energy: -7.038 eV per atom.

Cell lengths 5.0545, 8.7434, 19.5471 Å; angles 82.00, 85.06, 89.58 degrees
Last column: nearest neighbours and their distance in Å.
Space group P1 (No. 1)
Asymmetric unit:
Li1 0.0000 0.0000 0.0000 (multiplicity 1)  6 O 2.06-2.27
Li2 0.0009 0.0001 0.4993 (multiplicity 1)  6 O 2.06-2.25
Li3 0.1172 0.7941 0.6254 (multiplicity 1)  6 O 2.10-2.13
Li4 0.1180 0.7941 0.1259 (multiplicity 1)  6 O 2.09-2.13
Li5 0.2343 0.5909 0.2506 (multiplicity 1)  6 O 2.06-2.20
Li6 0.2375 0.5908 0.7506 (multiplicity 1)  6 O 2.06-2.26
Li7 0.2421 0.9177 0.2503 (multiplicity 1)  6 O 2.05-2.23
Li8 0.2473 0.2470 0.7503 (multiplicity 1)  6 O 2.07-2.27
Li9 0.2493 0.9175 0.7505 (multiplicity 1)  6 O 2.04-2.26
Li10 0.2507 0.2485 0.2508 (multiplicity 1)  6 O 2.06-2.25
Li11 0.3657 0.0431 0.8753 (multiplicity 1)  6 O 2.09-2.15
Li12 0.3664 0.0442 0.3751 (multiplicity 1)  6 O 2.10-2.13
Li13 0.4768 0.8385 0.0005 (multiplicity 1)  6 O 2.09-2.26
Li14 0.4826 0.8398 0.5005 (multiplicity 1)  6 O 2.06-2.26
Li15 0.4978 0.4977 0.5002 (multiplicity 1)  6 O 2.06-2.20
Li16 0.4990 0.1682 0.5004 (multiplicity 1)  6 O 2.05-2.26
Li17 0.5000 0.5002 0.9997 (multiplicity 1)  6 O 2.07-2.20
Li18 0.5014 0.1661 0.0001 (multiplicity 1)  6 O 2.05-2.23
Li19 0.6168 0.2931 0.6248 (multiplicity 1)  6 O 2.09-2.15
Li20 0.6172 0.2935 0.1251 (multiplicity 1)  6 O 2.09-2.15
Li21 0.7293 0.0880 0.7496 (multiplicity 1)  6 O 2.06-2.24
Li22 0.7303 0.0880 0.2501 (multiplicity 1)  6 O 2.07-2.25
Li23 0.7427 0.4192 0.7495 (multiplicity 1)  6 O 2.04-2.16
Li24 0.7449 0.4163 0.2500 (multiplicity 1)  6 O 2.04-2.24
Li25 0.7472 0.7501 0.7496 (multiplicity 1)  6 O 2.07-2.24
Li26 0.7495 0.7508 0.2495 (multiplicity 1)  6 O 2.06-2.20
Li27 0.8642 0.5447 0.8741 (multiplicity 1)  6 O 2.08-2.13
Li28 0.8667 0.5442 0.3751 (multiplicity 1)  6 O 2.10-2.13
Li29 0.9817 0.3385 0.4997 (multiplicity 1)  6 O 2.06-2.20
Li30 0.9830 0.3388 0.0004 (multiplicity 1)  6 O 2.06-2.25
Li31 0.9909 0.6702 0.0001 (multiplicity 1)  6 O 2.03-2.20
Li32 0.9910 0.6703 0.4995 (multiplicity 1)  6 O 2.04-2.22
Ti1 0.1150 0.1306 0.6242 (multiplicity 1)  6 O 1.95-2.01
Ti2 0.1174 0.1316 0.1235 (multiplicity 1)  6 O 1.94-2.03
Ti3 0.8615 0.8802 0.8767 (multiplicity 1)  6 O 1.93-2.04
Cr1 0.1147 0.4662 0.1254 (multiplicity 1)  6 O 1.89-2.00
Cr2 0.1166 0.4660 0.6246 (multiplicity 1)  6 O 1.89-1.99
Cr3 0.3601 0.3796 0.3748 (multiplicity 1)  6 O 1.89-2.00
Cr4 0.3621 0.7071 0.8753 (multiplicity 1)  6 O 1.89-2.00
Cr5 0.3710 0.3723 0.8740 (multiplicity 1)  6 O 1.88-2.00
Cr6 0.3733 0.7088 0.3754 (multiplicity 1)  6 O 1.89-2.00
Cr7 0.6105 0.6216 0.1265 (multiplicity 1)  6 O 1.87-2.02
Cr8 0.6131 0.6205 0.6258 (multiplicity 1)  6 O 1.87-2.00
Cr9 0.6208 0.9562 0.6246 (multiplicity 1)  6 O 1.89-2.00
Cr10 0.6227 0.9573 0.1251 (multiplicity 1)  6 O 1.89-2.00
Cr11 0.8603 0.8793 0.3750 (multiplicity 1)  6 O 1.89-2.00
Cr12 0.8716 0.2168 0.8743 (multiplicity 1)  6 O 1.88-2.01
Cr13 0.8738 0.2088 0.3754 (multiplicity 1)  6 O 1.89-2.00
O1 0.0263 0.0649 0.8186 (multiplicity 1)  1 Cr 1.95, 1 Ti 1.98, 3 Li 2.09-2.18
O2 0.0255 0.0678 0.3184 (multiplicity 1)  2 Cr 1.89-2.00, 1 Li 2.08
O3 0.0561 0.3810 0.8186 (multiplicity 1)  2 Cr 1.88-2.00, 2 Li 2.07-2.10
O4 0.0654 0.7418 0.3188 (multiplicity 1)  2 Cr 1.97-1.98, 4 Li 2.05-2.17
O5 0.0723 0.7401 0.8174 (multiplicity 1)  1 Cr 1.92, 1 Ti 2.04, 3 Li 2.04-2.13
O6 0.0728 0.3858 0.3188 (multiplicity 1)  2 Cr 1.89-2.00, 2 Li 2.06-2.10
O7 0.1613 0.2022 0.4313 (multiplicity 1)  2 Cr 1.89-2.00, 2 Li 2.06-2.10
O8 0.1644 0.8483 0.9341 (multiplicity 1)  1 Ti 1.97, 1 Cr 2.00, 4 Li 2.03-2.13
O9 0.1670 0.8462 0.4318 (multiplicity 1)  2 Cr 1.97-1.98, 4 Li 2.04-2.17
O10 0.1784 0.2105 0.9311 (multiplicity 1)  2 Cr 1.89-1.98, 2 Li 2.06-2.11
O11 0.2072 0.5204 0.4317 (multiplicity 1)  2 Cr 1.89-2.00, 1 Li 2.06
O12 0.2083 0.5288 0.9298 (multiplicity 1)  2 Cr 1.89-2.00, 1 Li 2.09
O13 0.2776 0.3154 0.5686 (multiplicity 1)  1 Cr 1.96, 1 Ti 1.96, 3 Li 2.09-2.18
O14 0.2784 0.3158 0.0686 (multiplicity 1)  1 Ti 1.95, 1 Cr 1.97, 2 Li 2.08-2.11
O15 0.3043 0.6300 0.0693 (multiplicity 1)  2 Cr 1.89-1.98, 2 Li 2.07-2.10
O16 0.3040 0.6305 0.5689 (multiplicity 1)  2 Cr 1.89-1.99, 2 Li 2.07-2.10
O17 0.3174 0.9893 0.0680 (multiplicity 1)  1 Cr 1.98, 1 Ti 1.98, 4 Li 2.06-2.16
O18 0.3193 0.9903 0.5675 (multiplicity 1)  1 Cr 1.96, 1 Ti 1.99, 4 Li 2.05-2.17
O19 0.4205 0.0955 0.6827 (multiplicity 1)  1 Cr 1.99, 1 Ti 2.00, 4 Li 2.04-2.13
O20 0.4216 0.0945 0.1826 (multiplicity 1)  1 Cr 1.97, 1 Ti 2.00, 4 Li 2.05-2.15
O21 0.4271 0.4569 0.1816 (multiplicity 1)  2 Cr 1.87-2.00, 1 Li 2.08
O22 0.4265 0.4576 0.6813 (multiplicity 1)  2 Cr 1.87-1.99, 1 Li 2.07
O23 0.4556 0.7716 0.1815 (multiplicity 1)  2 Cr 1.93-1.98, 2 Li 2.07-2.09
O24 0.4563 0.7725 0.6805 (multiplicity 1)  2 Cr 1.94-1.96, 2 Li 2.07-2.10
O25 0.5259 0.5677 0.3189 (multiplicity 1)  2 Cr 1.89-1.99, 1 Li 2.06
O26 0.5291 0.5569 0.8187 (multiplicity 1)  2 Cr 1.95-1.97, 3 Li 2.06-2.15
O27 0.5586 0.2440 0.8170 (multiplicity 1)  2 Cr 1.88-2.01, 1 Li 2.05
O28 0.5588 0.8813 0.8192 (multiplicity 1)  1 Cr 1.97, 1 Ti 1.97, 3 Li 2.07-2.14
O29 0.5649 0.2425 0.3186 (multiplicity 1)  2 Cr 1.97-1.99, 4 Li 2.04-2.15
O30 0.5729 0.8855 0.3191 (multiplicity 1)  2 Cr 1.89-1.99, 2 Li 2.06-2.10
O31 0.6596 0.7027 0.4318 (multiplicity 1)  2 Cr 1.89-2.00, 2 Li 2.06-2.11
O32 0.6659 0.7027 0.9312 (multiplicity 1)  1 Cr 1.96, 1 Ti 1.98, 3 Li 2.09-2.19
O33 0.6688 0.3454 0.4316 (multiplicity 1)  2 Cr 1.96-1.99, 4 Li 2.05-2.15
O34 0.6781 0.3439 0.9321 (multiplicity 1)  2 Cr 1.90-2.00, 2 Li 2.05-2.12
O35 0.7047 0.0301 0.9314 (multiplicity 1)  1 Ti 1.93, 1 Cr 1.99, 3 Li 2.08-2.11
O36 0.7072 0.0204 0.4315 (multiplicity 1)  2 Cr 1.89-2.00, 1 Li 2.06
O37 0.7751 0.8110 0.5698 (multiplicity 1)  2 Cr 1.89-2.00, 2 Li 2.08-2.11
O38 0.7747 0.8132 0.0699 (multiplicity 1)  2 Cr 1.89-2.02, 1 Li 2.10
O39 0.8080 0.4960 0.5671 (multiplicity 1)  2 Cr 1.90-1.99, 2 Li 2.04-2.13
O40 0.8078 0.4969 0.0675 (multiplicity 1)  2 Cr 1.91-1.99, 2 Li 2.04-2.13
O41 0.8146 0.1347 0.5677 (multiplicity 1)  1 Ti 1.95, 1 Cr 2.00, 3 Li 2.06-2.15
O42 0.8162 0.1358 0.0678 (multiplicity 1)  1 Ti 1.94, 1 Cr 2.00, 3 Li 2.06-2.15
O43 0.9131 0.9524 0.1814 (multiplicity 1)  1 Cr 1.90, 1 Ti 2.03, 2 Li 2.07-2.09
O44 0.9127 0.9532 0.6813 (multiplicity 1)  1 Cr 1.92, 1 Ti 2.01, 2 Li 2.06-2.10
O45 0.9256 0.5941 0.1827 (multiplicity 1)  2 Cr 1.89-2.01, 1 Li 2.06
O46 0.9264 0.5939 0.6823 (multiplicity 1)  2 Cr 1.90-2.00, 1 Li 2.04
O47 0.9555 0.2795 0.6813 (multiplicity 1)  1 Ti 1.96, 1 Cr 1.98, 3 Li 2.07-2.15
O48 0.9570 0.2794 0.1816 (multiplicity 1)  1 Ti 1.96, 1 Cr 1.97, 3 Li 2.08-2.13



The following is a PBE+U calculation of a relaxed structure of Li2TiCrO4, from the Materials Project.

The distance to the lowest polymorph of the same formula comes out at 0.008 eV/atom. As for the MP2020-corrected energy: -7.797 eV per atom.

Cell lengths 5.1016, 2.9558, 5.2225 Å; angles 90.00, 109.13, 90.00 degrees
Last column: nearest neighbours and their distance in Å.
Space group P2/m (No. 10)
Asymmetric unit:
Li1 0.0000 0.0000 0.0000 (multiplicity 1)  6 O 2.16-2.17
Li2 0.5000 0.5000 0.0000 (multiplicity 1)  6 O 2.15
Ti1 0.0000 0.5000 0.5000 (multiplicity 1)  6 O 2.06
Cr1 0.5000 0.0000 0.5000 (multiplicity 1)  6 O 2.04-2.05
O1 0.2448 0.0000 0.7328 (multiplicity 2)  1 Cr 2.05, 2 Ti 2.06, 3 Li 2.15-2.16
O2 0.2601 0.5000 0.2700 (multiplicity 2)  2 Cr 2.04, 1 Ti 2.06, 3 Li 2.15-2.17



The following is a PBE+U calculation of a relaxed structure of Li24Ti5Cr7O36, from the Materials Project.

The distance to the lowest polymorph of the same formula comes out at 0.001 eV/atom. As for the MP2020-corrected energy: -7.140 eV per atom.

Cell lengths 5.0517, 9.7841, 13.3982 Å; angles 97.19, 100.66, 94.68 degrees
Last column: nearest neighbours and their distance in Å.
Space group P1 (No. 1)
Asymmetric unit:
Li1 0.0000 0.0000 0.0000 (multiplicity 1)  6 O 2.10-2.13
Li2 0.0018 0.4994 0.4980 (multiplicity 1)  6 O 2.09-2.13
Li3 0.0435 0.7506 0.8617 (multiplicity 1)  6 O 2.08-2.25
Li4 0.0486 0.2490 0.3632 (multiplicity 1)  6 O 2.08-2.26
Li5 0.1680 0.7518 0.0817 (multiplicity 1)  6 O 2.04-2.26
Li6 0.1762 0.2489 0.5806 (multiplicity 1)  6 O 2.05-2.26
Li7 0.2812 0.2474 0.8012 (multiplicity 1)  6 O 2.07-2.23
Li8 0.2881 0.7517 0.3055 (multiplicity 1)  6 O 2.06-2.22
Li9 0.3305 0.9997 0.6654 (multiplicity 1)  6 O 2.09-2.15
Li10 0.3333 0.5000 0.1667 (multiplicity 1)  6 O 2.09-2.13
Li11 0.3736 0.7493 0.5284 (multiplicity 1)  6 O 2.09-2.28
Li12 0.3854 0.2497 0.0303 (multiplicity 1)  6 O 2.06-2.25
Li13 0.5002 0.2480 0.2505 (multiplicity 1)  6 O 2.04-2.24
Li14 0.5081 0.7492 0.7484 (multiplicity 1)  6 O 2.06-2.25
Li15 0.6162 0.2495 0.4703 (multiplicity 1)  6 O 2.06-2.25
Li16 0.6204 0.7480 0.9702 (multiplicity 1)  6 O 2.07-2.27
Li17 0.6645 0.0006 0.3326 (multiplicity 1)  6 O 2.09-2.13
Li18 0.6676 0.4998 0.8332 (multiplicity 1)  6 O 2.11-2.14
Li19 0.7131 0.7469 0.1951 (multiplicity 1)  6 O 2.07-2.27
Li20 0.7165 0.2504 0.6973 (multiplicity 1)  6 O 2.08-2.27
Li21 0.8315 0.2509 0.9160 (multiplicity 1)  6 O 2.04-2.22
Li22 0.8405 0.7485 0.4157 (multiplicity 1)  6 O 2.03-2.24
Li23 0.9493 0.2505 0.1354 (multiplicity 1)  6 O 2.07-2.20
Li24 0.9512 0.7510 0.6376 (multiplicity 1)  6 O 2.07-2.21
Ti1 0.1157 0.5054 0.7223 (multiplicity 1)  6 O 1.93-2.04
Ti2 0.2192 0.4948 0.9432 (multiplicity 1)  6 O 1.94-2.04
Ti3 0.4398 0.4984 0.3890 (multiplicity 1)  6 O 1.93-2.01
Ti4 0.4429 0.9958 0.8906 (multiplicity 1)  6 O 1.94-2.04
Ti5 0.7797 0.0000 0.5558 (multiplicity 1)  6 O 1.95-2.00
Cr1 0.1125 0.0015 0.2181 (multiplicity 1)  6 O 1.89-1.99
Cr2 0.2190 0.9984 0.4408 (multiplicity 1)  6 O 1.89-2.01
Cr3 0.5613 0.0004 0.1142 (multiplicity 1)  6 O 1.88-2.00
Cr4 0.5625 0.4981 0.6092 (multiplicity 1)  6 O 1.88-2.00
Cr5 0.7715 0.4997 0.0572 (multiplicity 1)  6 O 1.88-2.00
Cr6 0.8861 0.0009 0.7772 (multiplicity 1)  6 O 1.92-2.00
Cr7 0.8924 0.5014 0.2759 (multiplicity 1)  6 O 1.88-2.00
O1 0.0006 0.3857 0.8205 (multiplicity 1)  2 Ti 1.94-2.00, 2 Li 2.07-2.11
O2 0.0025 0.1142 0.6768 (multiplicity 1)  1 Ti 1.95, 1 Cr 1.98, 3 Li 2.08-2.18
O3 0.0041 0.6112 0.1824 (multiplicity 1)  2 Cr 1.88-2.00, 2 Li 2.08-2.09
O4 0.0043 0.8908 0.3217 (multiplicity 1)  2 Cr 1.89-1.99, 2 Li 2.08-2.12
O5 0.0663 0.8820 0.5346 (multiplicity 1)  1 Ti 1.96, 1 Cr 2.01, 4 Li 2.03-2.14
O6 0.0685 0.3853 0.0365 (multiplicity 1)  1 Ti 1.96, 1 Cr 1.98, 4 Li 2.07-2.17
O7 0.1386 0.1115 0.8922 (multiplicity 1)  1 Cr 1.95, 1 Ti 1.98, 2 Li 2.09-2.10
O8 0.1462 0.6148 0.3938 (multiplicity 1)  1 Ti 1.95, 1 Cr 1.99, 4 Li 2.06-2.17
O9 0.1816 0.3864 0.2716 (multiplicity 1)  1 Cr 1.92, 1 Ti 1.99, 2 Li 2.08-2.11
O10 0.1862 0.8883 0.7727 (multiplicity 1)  1 Cr 1.95, 1 Ti 1.97, 2 Li 2.08-2.11
O11 0.2586 0.1150 0.1330 (multiplicity 1)  2 Cr 1.89-2.00, 1 Li 2.04
O12 0.2651 0.6136 0.6292 (multiplicity 1)  1 Ti 1.95, 1 Cr 1.99, 4 Li 2.07-2.17
O13 0.3289 0.3848 0.4853 (multiplicity 1)  1 Ti 1.93, 1 Cr 2.00, 3 Li 2.06-2.15
O14 0.3320 0.1118 0.3412 (multiplicity 1)  2 Cr 1.95-1.97, 3 Li 2.08-2.14
O15 0.3341 0.6144 0.8454 (multiplicity 1)  2 Ti 1.94-1.99, 2 Li 2.08-2.12
O16 0.3349 0.8864 0.9900 (multiplicity 1)  1 Ti 1.94, 1 Cr 1.99, 3 Li 2.09-2.14
O17 0.4063 0.3860 0.6996 (multiplicity 1)  1 Cr 1.96, 1 Ti 1.99, 4 Li 2.05-2.18
O18 0.4103 0.8854 0.1989 (multiplicity 1)  2 Cr 1.91-1.99, 3 Li 2.05-2.13
O19 0.4716 0.1107 0.5570 (multiplicity 1)  1 Cr 1.97, 1 Ti 1.97, 3 Li 2.07-2.13
O20 0.4856 0.6128 0.0612 (multiplicity 1)  1 Cr 1.89, 1 Ti 2.04, 2 Li 2.07-2.11
O21 0.5192 0.8871 0.4384 (multiplicity 1)  1 Cr 1.94, 1 Ti 2.00, 3 Li 2.09-2.16
O22 0.5212 0.3853 0.9390 (multiplicity 1)  1 Ti 1.94, 1 Cr 1.99, 3 Li 2.07-2.17
O23 0.6005 0.6143 0.2972 (multiplicity 1)  1 Cr 1.95, 1 Ti 2.01, 4 Li 2.05-2.16
O24 0.6035 0.1145 0.7975 (multiplicity 1)  1 Cr 1.92, 1 Ti 2.04, 2 Li 2.04-2.12
O25 0.6635 0.3884 0.1508 (multiplicity 1)  2 Cr 1.88-2.00, 2 Li 2.07-2.10
O26 0.6659 0.1117 0.0137 (multiplicity 1)  1 Cr 1.95, 1 Ti 1.98, 2 Li 2.06-2.11
O27 0.6664 0.6123 0.5147 (multiplicity 1)  1 Cr 1.91, 1 Ti 2.00, 2 Li 2.09-2.13
O28 0.6680 0.8882 0.6580 (multiplicity 1)  1 Cr 1.92, 1 Ti 1.99, 3 Li 2.07-2.14
O29 0.7365 0.8832 0.8699 (multiplicity 1)  1 Ti 1.96, 1 Cr 2.00, 4 Li 2.06-2.12
O30 0.7383 0.3856 0.3660 (multiplicity 1)  1 Cr 1.97, 1 Ti 1.99, 4 Li 2.04-2.18
O31 0.8004 0.1120 0.2234 (multiplicity 1)  2 Cr 1.88-1.99, 1 Li 2.09
O32 0.8128 0.6133 0.7272 (multiplicity 1)  1 Ti 1.93, 1 Cr 1.99, 3 Li 2.08-2.15
O33 0.8483 0.3872 0.6043 (multiplicity 1)  1 Cr 1.88, 1 Ti 2.04, 1 Li 2.09
O34 0.8668 0.8869 0.1105 (multiplicity 1)  2 Cr 1.89-1.98, 1 Li 2.07
O35 0.9293 0.6137 0.9670 (multiplicity 1)  1 Cr 1.97, 1 Ti 1.99, 4 Li 2.04-2.18
O36 0.9360 0.1145 0.4630 (multiplicity 1)  1 Cr 1.94, 1 Ti 2.00, 3 Li 2.05-2.13



no.,energy relative to the elements (meV/atom)
1,-2374
2,-2652
3,-2542